(1)
A relaxed RbSe2O6 crystal, computed with PBE.

The structure in CIF format:
```
data_RbSe2O6
_chemical_formula_sum 'Rb4 Se8 O24'
_space_group_name_H-M_alt 'P 21 21 21'
_space_group_IT_number 19
_cell_length_a 6.178
_cell_length_b 6.288
_cell_length_c 19.125
_cell_angle_alpha 90.00
_cell_angle_beta 90.00
_cell_angle_gamma 90.00
loop_
_space_group_symop_operation_xyz
'x,y,z'
'-x+1/2,-y,z+1/2'
'x+1/2,-y+1/2,-z'
'-x,y+1/2,-z+1/2'
loop_
_atom_site_label
_atom_site_fract_x
_atom_site_fract_y
_atom_site_fract_z
Rb1 0.001 0.021 0.167
Se1 0.009 0.456 0.994
Se2 0.010 0.959 0.836
O1 0.032 0.905 0.422
O2 0.053 0.221 0.840
O3 0.197 0.821 0.793
O4 0.198 0.068 0.547
O5 0.242 0.393 0.684
O6 0.247 0.456 0.475
```

Mass density (Mg/m³): 3.03
DFT formation energy (eV/atom): -1.11
Total magnetization (μB/f.u.): 0.97
Energy (eV per cell): -173.9


(2)
A relaxed MgO crystal, computed with PBE.

The structure in CIF format:
```
data_MgO
_chemical_formula_sum 'Mg6 O6'
_space_group_name_H-M_alt 'P m -3 n'
_space_group_IT_number 223
_space_group_name_Hall '-P 4n 2 3'
_cell_length_a 5.641
_cell_length_b 5.641
_cell_length_c 5.641
_cell_angle_alpha 90.00
_cell_angle_beta 90.00
_cell_angle_gamma 90.00
loop_
_atom_site_label
_atom_site_fract_x
_atom_site_fract_y
_atom_site_fract_z
Mg1 0.000 0.250 0.500
O1 0.000 0.500 0.250
```

Mass density (Mg/m³): 2.24
DFT formation energy (eV/atom): -2.92
Total magnetization (μB/f.u.): 0.00
Energy (eV per cell): -70.2